[1]
Below is a relaxed structure of MgTiF6, with properties calculated at the meta-GGA r2SCAN level.

```
MgTiF6
1.0
4.693 -2.608 0.000
4.693 2.608 0.000
3.243 0.000 4.279
Mg Ti F
1 1 6
Direct
0.500 0.500 0.500
0.000 0.000 0.000
0.672 0.842 0.242
0.842 0.242 0.672
0.758 0.328 0.158
0.158 0.758 0.328
0.328 0.158 0.758
0.242 0.672 0.842
```

Summary:
The calculation puts the energy relative to the elements at -3.725 eV per atom. As for the symmetry: R-3, No. 148.

[2]
Below is a relaxed structure of MgVF6, with properties calculated at the meta-GGA r2SCAN level.

```
MgVF6
1.0
-4.586 1.849 -1.936
-4.498 0.145 2.820
-2.245 4.517 1.660
Mg V F
1 1 6
Direct
0.500 0.500 0.500
0.000 0.000 0.000
0.650 0.868 0.239
0.868 0.239 0.650
0.761 0.350 0.132
0.132 0.761 0.350
0.350 0.132 0.761
0.239 0.650 0.868
```

Summary:
The calculation puts the energy relative to the elements at -3.346 eV per atom. As for the symmetry: R-3, No. 148.

[3]
Below is a relaxed structure of MgWF5, with properties calculated at the meta-GGA r2SCAN level.

```
MgWF5
1.0
-2.434 -4.564 -1.561
0.864 -0.443 -5.315
5.077 -5.224 -1.274
Mg W F
2 2 10
Direct
0.520 0.480 0.250
0.480 0.520 0.750
0.000 0.000 0.000
0.000 0.000 0.500
0.151 0.849 0.750
0.849 0.151 0.250
0.699 0.786 0.636
0.214 0.301 0.864
0.680 0.304 0.949
0.696 0.320 0.551
0.320 0.696 0.051
0.304 0.680 0.449
0.786 0.699 0.136
0.301 0.214 0.364
```

Summary:
The calculation puts the energy relative to the elements at -2.803 eV per atom. As for the symmetry: C2/c, No. 15.

[4]
Below is a relaxed structure of MnF4, with properties calculated at the meta-GGA r2SCAN level.

```
MnF4
1.0
2.904 0.000 -0.063
0.000 8.942 0.000
0.099 0.000 4.551
Mn F
2 8
Direct
0.000 0.000 0.000
0.000 0.500 0.500
0.001 0.131 0.284
0.001 0.369 0.784
0.500 0.902 0.177
0.500 0.402 0.323
0.500 0.598 0.677
0.500 0.098 0.823
0.999 0.631 0.216
0.999 0.869 0.716
```

Summary:
The calculation puts the energy relative to the elements at -2.439 eV per atom. As for the symmetry: Pbam, No. 55.

[5]
Below is a relaxed structure of MnF2, with properties calculated at the meta-GGA r2SCAN level.

```
MnF2
1.0
-3.168 0.283 0.920
0.839 -2.942 3.793
1.141 3.862 2.744
Mn F
2 4
Direct
0.500 0.500 0.500
0.000 0.000 0.000
0.000 0.695 0.695
0.500 0.805 0.195
0.000 0.305 0.305
0.500 0.195 0.805
```

Summary:
The calculation puts the energy relative to the elements at -2.921 eV per atom. As for the symmetry: P4_2/mnm, No. 136.

[6]
Below is a relaxed structure of MnF2, with properties calculated at the meta-GGA r2SCAN level.

```
MnF2
1.0
-0.040 2.242 4.399
-4.799 2.112 -1.120
-2.589 -4.641 2.342
Mn F
4 8
Direct
0.500 0.750 0.329
0.000 0.250 0.171
0.500 0.250 0.671
0.000 0.750 0.829
0.729 0.078 0.395
0.229 0.922 0.105
0.771 0.578 0.105
0.271 0.422 0.395
0.729 0.578 0.605
0.229 0.422 0.895
0.771 0.078 0.895
0.271 0.922 0.605
```

Summary:
The calculation puts the energy relative to the elements at -2.921 eV per atom. As for the symmetry: Pbcn, No. 60.

[7]
Below is a relaxed structure of MnF2, with properties calculated at the meta-GGA r2SCAN level.

```
MnF2
1.0
-4.561 -1.557 1.870
0.034 -4.013 -3.258
2.427 -2.856 3.542
Mn F
4 8
Direct
0.500 0.500 0.000
0.000 0.000 0.000
0.000 0.500 0.500
0.500 0.000 0.500
0.267 0.733 0.756
0.733 0.267 0.756
0.769 0.769 0.740
0.231 0.231 0.740
0.733 0.733 0.244
0.769 0.231 0.260
0.231 0.769 0.260
0.267 0.267 0.244
```

Summary:
The calculation puts the energy relative to the elements at -2.901 eV per atom. As for the symmetry: P-42m, No. 111.

[8]
Below is a relaxed structure of MnF3, with properties calculated at the meta-GGA r2SCAN level.

```
MnF3
1.0
-5.445 2.319 -4.841
-2.115 -4.898 0.032
-3.092 1.362 4.130
Mn F
4 12
Direct
0.000 0.000 0.000
0.500 0.000 0.000
0.000 0.500 0.500
0.500 0.500 0.500
0.250 0.016 0.998
0.508 0.292 0.208
0.992 0.292 0.208
0.007 0.792 0.292
0.494 0.792 0.292
0.750 0.514 0.504
0.250 0.486 0.496
0.506 0.208 0.708
0.993 0.208 0.708
0.008 0.708 0.792
0.492 0.708 0.792
0.750 0.984 0.002
```

Summary:
The calculation puts the energy relative to the elements at -2.843 eV per atom. As for the symmetry: P2_1/m, No. 11.

[9]
Below is a relaxed structure of MnF3, with properties calculated at the meta-GGA r2SCAN level.

```
MnF3
1.0
-1.221 -5.749 5.938
5.492 -0.784 6.247
-2.374 3.056 2.470
Mn F
6 18
Direct
0.000 0.667 0.000
0.333 0.667 0.500
0.000 0.333 0.500
0.667 0.333 0.000
0.333 0.000 0.000
0.667 0.000 0.500
0.240 0.880 0.251
0.120 0.760 0.749
0.427 0.786 0.750
0.214 0.573 0.250
0.547 0.907 0.251
0.093 0.453 0.749
0.546 0.547 0.251
0.453 0.454 0.749
0.880 0.881 0.251
0.119 0.120 0.749
0.786 0.787 0.750
0.213 0.214 0.250
0.787 0.427 0.750
0.573 0.213 0.250
0.454 0.094 0.749
0.906 0.546 0.251
0.881 0.240 0.251
0.760 0.119 0.749
```

Summary:
The calculation puts the energy relative to the elements at -2.816 eV per atom.

[10]
Below is a relaxed structure of MnF3, with properties calculated at the meta-GGA r2SCAN level.

```
MnF3
1.0
-2.619 0.305 2.776
-3.269 -3.200 -2.733
2.117 -4.267 2.465
Mn F
2 6
Direct
0.500 0.500 0.000
0.500 0.000 0.500
0.000 0.500 0.000
0.500 0.289 0.291
0.500 0.209 0.790
0.000 0.000 0.500
0.500 0.791 0.210
0.500 0.711 0.709
```

Summary:
The calculation puts the energy relative to the elements at -2.844 eV per atom. As for the symmetry: P2/m, No. 10.

[11]
Below is a relaxed structure of MnF4, with properties calculated at the meta-GGA r2SCAN level.

```
MnF4
1.0
4.864 0.004 -0.001
0.003 5.239 -0.077
-0.106 -0.662 6.924
Mn F
3 12
Direct
0.500 0.500 0.000
0.000 0.000 0.000
0.500 0.500 0.500
0.638 0.802 0.568
0.195 0.308 0.070
0.131 0.989 0.768
0.644 0.509 0.246
0.198 0.640 0.426
0.695 0.194 0.928
0.869 0.011 0.232
0.356 0.491 0.754
0.802 0.360 0.574
0.305 0.806 0.072
0.362 0.198 0.432
0.805 0.692 0.930
```

Summary:
The calculation puts the energy relative to the elements at -2.412 eV per atom. As for the symmetry: P-1, No. 2.

[12]
Below is a relaxed structure of MnF3, with properties calculated at the meta-GGA r2SCAN level.

```
MnF3
1.0
4.993 -0.001 0.000
-0.001 5.486 0.000
0.000 0.000 7.293
Mn F
4 12
Direct
0.000 0.500 0.000
0.000 0.500 0.500
0.500 0.000 0.000
0.500 0.000 0.500
0.116 0.511 0.250
0.204 0.822 0.944
0.205 0.822 0.556
0.295 0.322 0.944
0.295 0.322 0.556
0.384 0.012 0.250
0.616 0.988 0.750
0.705 0.678 0.056
0.705 0.678 0.444
0.796 0.178 0.056
0.795 0.178 0.444
0.884 0.489 0.750
```

Summary:
The calculation puts the energy relative to the elements at -2.811 eV per atom. As for the symmetry: Pnma, No. 62.

[13]
Below is a relaxed structure of MnF3, with properties calculated at the meta-GGA r2SCAN level.

```
MnF3
1.0
2.625 4.554 0.000
-2.625 4.554 0.000
0.000 3.040 4.427
Mn F
2 6
Direct
0.000 0.500 0.000
0.500 0.000 0.500
0.676 0.324 0.250
0.324 0.676 0.750
0.823 0.751 0.247
0.249 0.177 0.253
0.177 0.249 0.753
0.751 0.823 0.747
```

Summary:
The calculation puts the energy relative to the elements at -2.845 eV per atom. As for the symmetry: C2/c, No. 15.

[14]
Below is a relaxed structure of MnF4, with properties calculated at the meta-GGA r2SCAN level.

```
MnF4
1.0
-0.478 -3.597 -3.945
3.636 -2.290 1.647
-2.617 -0.957 4.447
Mn F
2 8
Direct
0.000 0.500 0.500
0.000 0.000 0.000
0.138 0.274 0.833
0.138 0.226 0.333
0.320 0.681 0.636
0.320 0.819 0.136
0.680 0.181 0.864
0.680 0.319 0.364
0.862 0.774 0.667
0.862 0.726 0.167
```

Summary:
The calculation puts the energy relative to the elements at -2.473 eV per atom. As for the symmetry: P2_1/c, No. 14.

[15]
Below is a relaxed structure of MnF4, with properties calculated at the meta-GGA r2SCAN level.

```
MnF4
1.0
4.992 0.556 -7.929
-1.394 -5.265 7.644
-8.118 -2.215 -4.157
Mn F
8 32
Direct
0.239 0.488 0.009
0.480 0.989 0.250
0.738 0.229 0.750
0.479 0.230 0.991
0.011 0.262 0.491
0.770 0.761 0.250
0.512 0.521 0.750
0.770 0.520 0.509
0.428 0.534 0.157
0.521 0.178 0.394
0.784 0.127 0.606
0.377 0.271 0.843
0.822 0.216 0.343
0.729 0.572 0.106
0.466 0.623 0.894
0.873 0.479 0.657
0.633 0.531 0.363
0.520 0.383 0.602
0.781 0.918 0.398
0.168 0.270 0.637
0.617 0.219 0.137
0.730 0.367 0.898
0.469 0.832 0.102
0.082 0.480 0.863
0.055 0.196 0.916
0.390 0.805 0.360
0.446 0.030 0.640
0.280 0.140 0.084
0.195 0.554 0.584
0.860 0.945 0.140
0.804 0.720 0.860
0.970 0.610 0.416
0.050 0.392 0.115
0.184 0.800 0.158
0.642 0.026 0.842
0.276 0.934 0.885
0.200 0.358 0.385
0.066 0.950 0.342
0.608 0.724 0.658
0.974 0.816 0.615
```

Summary:
The calculation puts the energy relative to the elements at -2.533 eV per atom. As for the symmetry: I4_1/a, No. 88.

[16]
Below is a relaxed structure of NaMnF4, with properties calculated at the meta-GGA r2SCAN level.

```
NaMnF4
1.0
4.890 0.000 0.000
0.000 5.689 0.012
0.000 1.849 5.462
Na Mn F
2 2 8
Direct
0.500 0.500 0.000
0.000 0.500 0.500
0.500 0.000 0.500
0.000 0.000 0.000
0.154 0.310 0.887
0.654 0.690 0.613
0.846 0.690 0.113
0.346 0.310 0.387
0.231 0.878 0.334
0.731 0.122 0.166
0.769 0.122 0.666
0.269 0.878 0.834
```

Summary:
The calculation puts the energy relative to the elements at -2.954 eV per atom. As for the symmetry: P2_1/c, No. 14.

[17]
Below is a relaxed structure of NaMn3F10, with properties calculated at the meta-GGA r2SCAN level.

```
NaMn3F10
1.0
9.586 -2.365 2.452
4.470 -0.020 7.391
2.651 -6.998 0.214
Na Mn F
2 6 20
Direct
0.991 0.009 0.009
0.241 0.259 0.259
0.506 0.494 0.495
0.756 0.744 0.744
0.258 0.243 0.742
0.757 0.742 0.243
0.508 0.493 0.992
0.007 0.992 0.493
0.149 0.123 0.848
0.880 0.848 0.123
0.402 0.370 0.102
0.127 0.101 0.370
0.807 0.199 0.786
0.208 0.786 0.199
0.464 0.042 0.442
0.051 0.443 0.042
0.841 0.657 0.460
0.042 0.461 0.656
0.790 0.208 0.409
0.593 0.409 0.208
0.635 0.629 0.364
0.372 0.364 0.628
0.886 0.878 0.615
0.621 0.615 0.878
0.475 0.028 0.825
0.673 0.825 0.028
0.426 0.577 0.776
0.222 0.775 0.578
```

Summary:
The calculation puts the energy relative to the elements at -2.882 eV per atom. As for the symmetry: Fdd2, No. 43.

[18]
Below is a relaxed structure of NaMnF3, with properties calculated at the meta-GGA r2SCAN level.

```
NaMnF3
1.0
-4.127 2.038 -2.985
-3.107 -4.686 1.097
-2.971 3.490 6.490
Na Mn F
4 4 12
Direct
0.483 0.938 0.250
0.983 0.562 0.750
0.017 0.438 0.250
0.517 0.062 0.750
0.500 0.500 0.000
0.000 0.000 0.000
0.000 0.000 0.500
0.500 0.500 0.500
0.625 0.557 0.250
0.125 0.943 0.750
0.875 0.057 0.250
0.375 0.443 0.750
0.811 0.306 0.934
0.311 0.194 0.066
0.689 0.806 0.566
0.189 0.694 0.434
0.811 0.306 0.566
0.311 0.194 0.434
0.689 0.806 0.934
0.189 0.694 0.066
```

Summary:
The calculation puts the energy relative to the elements at -2.954 eV per atom. As for the symmetry: Pnma, No. 62.

| no. | calculated density (g cm⁻³) |
| --- | --- |
| 1 | 2.95 |
| 2 | 3.20 |
| 3 | 5.36 |
| 4 | 3.68 |
| 5 | 3.93 |
| 6 | 4.02 |
| 7 | 4.48 |
| 8 | 3.42 |
| 9 | 4.02 |
| 10 | 3.40 |
| 11 | 3.70 |
| 12 | 3.72 |
| 13 | 3.51 |
| 14 | 3.78 |
| 15 | 3.70 |
| 16 | 3.37 |
| 17 | 3.34 |
| 18 | 3.59 |